No. 1
Computed, not measured: an optimized crystal structure of NbCr3Cu2S8 at the PBE level of DFT.

Lattice parameters (Å, degrees): 11.4520 3.4176 12.0583 90.00 90.62 90.00
Last column: nearest neighbours and their distance in Å.
Space group P2_1/m (No. 11)
Inequivalent atoms, fractional coordinates:
Nb: 0.1465 0.2500 0.2142 [2 per cell]  6 S 2.45-2.60
Cr: 0.1187 0.2500 0.5742 [2 per cell]  6 S 2.35-2.56
Cr: 0.3539 0.7500 0.7057 [2 per cell]  6 S 2.40-2.52
Cr: 0.3905 0.7500 0.0678 [2 per cell]  6 S 2.40-2.46
Cu: 0.1318 0.7500 0.9159 [2 per cell]  7 S 2.53-2.80
Cu: 0.3876 0.2500 0.4375 [2 per cell]  5 S 2.37-2.57
S: 0.0253 0.2500 0.3807 [2 per cell]  3 Cr 2.44-2.56, 1 Nb 2.45
S: 0.0331 0.7500 0.1103 [2 per cell]  2 Nb 2.48, 3 Cu 2.56-2.61
S: 0.2153 0.2500 0.7509 [2 per cell]  3 Cr 2.39-2.40
S: 0.2500 0.2500 0.0231 [2 per cell]  2 Cr 2.40, 2 Cu 2.53, 1 Nb 2.60
S: 0.2517 0.7500 0.5302 [2 per cell]  3 Cr 2.35-2.41, 2 Cu 2.57
S: 0.2975 0.7500 0.2505 [2 per cell]  1 Cr 2.46, 2 Nb 2.47
S: 0.4689 0.2500 0.6189 [2 per cell]  3 Cu 2.37-2.47, 2 Cr 2.40
S: 0.4710 0.7500 0.8841 [2 per cell]  4 Cr 2.40-2.52

Results
Formation enthalpy at 0 K = -0.776 eV per atom
Calculated volume = 472 Å³ per cell

No. 2
Computed, not measured: an optimized crystal structure of NbCr3Cu2S8 at the PBE level of DFT.

Lattice parameters (Å, degrees): 7.1689 6.3682 12.0012 90.00 90.00 90.00
Last column: nearest neighbours and their distance in Å.
Space group Pmn2_1 (No. 31)
Inequivalent atoms, fractional coordinates:
Nb: 0.0000 0.2135 0.0000 [2 per cell]  4 S 2.34-2.46
Cr: 0.0000 0.3505 0.2760 [2 per cell]  4 S 2.11-2.23
Cr: 0.0000 0.7558 0.0980 [2 per cell]  6 S 2.31-2.54
Cr: 0.0000 0.8364 0.8051 [2 per cell]  2 S 2.24
Cu: 0.0000 0.4740 0.6840 [2 per cell]  3 S 2.20-2.29
Cu: 0.0000 0.8897 0.4348 [2 per cell]  4 S 2.22-2.32
S: 0.0000 0.0100 0.2609 [2 per cell]  1 Cr 2.18, 1 Cu 2.22
S: 0.0000 0.1876 0.7992 [2 per cell]  1 Cr 2.24, 1 Cu 2.29, 1 Nb 2.42
S: 0.0000 0.5342 0.4228 [2 per cell]  1 Cr 2.11, 1 Cu 2.27
S: 0.0000 0.5765 0.9304 [2 per cell]  2 Cr 2.24-2.31, 1 Nb 2.46
S: 0.2054 0.4569 0.1488 [4 per cell]  1 Cu 2.20, 1 Cr 2.23
S: 0.2473 0.9822 0.0350 [4 per cell]  1 Cu 2.32, 1 Nb 2.34, 1 Cr 2.41

Results
Formation enthalpy at 0 K = -0.582 eV per atom
Calculated volume = 548 Å³ per cell